The following is a PBE calculation of Ce3Sn5 after structural relaxation, from the Materials Project database.

Summary:
For the formation enthalpy at 0 K, the calculation gives -0.59 eV/atom.

CIF file:
```
data_Ce3Sn5
_space_group_name_H-M_alt 'C m c m'
_space_group_IT_number 63
_space_group_name_Hall '-C 2c 2'
_cell_length_a 10.225
_cell_length_b 8.183
_cell_length_c 10.495
_cell_angle_alpha 90.00
_cell_angle_beta 90.00
_cell_angle_gamma 90.00
loop_
_atom_site_label
_atom_site_fract_x
_atom_site_fract_y
_atom_site_fract_z
_atom_site_occupancy
Ce1 0.000 0.127 0.250 1
Ce2 0.204 0.500 0.000 1
Sn1 0.000 0.186 0.546 1
Sn2 0.000 0.483 0.750 1
Sn3 0.218 0.215 0.750 1
```